No. 1
Entry from the Materials Project: a geometry-optimized YbMgPd structure (meta-GGA r2SCAN).

Output
ΔE_f: -0.71 eV/atom
space group: Pnma (62)

a b c (Å): 4.131 7.012 8.556
angles (deg): 90.00 90.00 90.00
Fractional positions:
Mg  0.250  0.636  0.558
Mg  0.750  0.364  0.442
Mg  0.750  0.864  0.058
Mg  0.250  0.136  0.942
Pd  0.750  0.255  0.128
Pd  0.250  0.245  0.628
Pd  0.250  0.745  0.872
Pd  0.750  0.755  0.372
Yb  0.250  0.540  0.176
Yb  0.750  0.960  0.676
Yb  0.250  0.040  0.324
Yb  0.750  0.460  0.824

No. 2
Entry from the Materials Project: a geometry-optimized MgZnPd2 structure (meta-GGA r2SCAN).

Output
ΔE_f: -0.65 eV/atom
space group: Fm-3m (225)

a b c (Å): 4.364 4.364 4.364
angles (deg): 60.00 60.00 60.00
Fractional positions:
Pd  0.000  0.000  0.000
Pd  0.500  0.500  0.500
Zn  0.750  0.750  0.750
Mg  0.250  0.250  0.250

No. 3
Entry from the Materials Project: a geometry-optimized Pm3Mg structure (meta-GGA r2SCAN).

Output
ΔE_f: 0.00 eV/atom
space group: I4/mmm (139)

a b c (Å): 6.136 6.136 6.136
angles (deg): 132.03 132.03 70.19
Fractional positions:
Pm  0.250  0.750  0.500
Pm  0.750  0.250  0.500
Pm  0.500  0.500  0.000
Mg  0.000  0.000  0.000

Let's list spin magnetization in order: 0.0; 0.0; 0.0 μB/cell.